Material: FePO6
Method: DFT, PBE with a Hubbard U
State: optimized geometry

CIF file:
```
data_FePO6
_cell_length_a 9.603
_cell_length_b 10.622
_cell_length_c 9.603
_cell_angle_alpha 90.00
_cell_angle_beta 90.00
_cell_angle_gamma 90.00
_symmetry_space_group_name_H-M 'P b c a'
_symmetry_Int_Tables_number 61
_symmetry_space_group_name_Hall '-P 2ac 2ab'
loop_
_atom_site_label
_atom_site_type_symbol
_atom_site_fract_x
_atom_site_fract_y
_atom_site_fract_z
Fe1 Fe 0.199 0.114 0.085
P1 P 0.158 0.646 0.411
O1 O 0.002 0.135 0.090
O2 O 0.030 0.166 0.390
O3 O 0.036 0.232 0.830
O4 O 0.203 0.721 0.958
O5 O 0.215 0.620 0.263
O6 O 0.220 0.550 0.516
```

Values from the calculation:
relative energy among the computed polymorphs: 26.1 meV/atom
spin magnetization: 0.38 μB per atom


Material: NaFe5O8
Method: DFT, PBE with a Hubbard U
State: optimized geometry

CIF file:
```
data_NaFe5O8
_cell_length_a 8.622
_cell_length_b 8.622
_cell_length_c 8.622
_cell_angle_alpha 90.00
_cell_angle_beta 90.00
_cell_angle_gamma 90.00
_symmetry_space_group_name_H-M 'P 43 3 2'
_symmetry_Int_Tables_number 212
_symmetry_space_group_name_Hall 'P 4acd 2ab 3'
loop_
_atom_site_label
_atom_site_type_symbol
_atom_site_fract_x
_atom_site_fract_y
_atom_site_fract_z
Na1 Na 0.125 0.125 0.125
Fe1 Fe 0.003 0.503 0.997
Fe2 Fe 0.122 0.375 0.372
O1 O 0.109 0.861 0.635
O2 O 0.114 0.386 0.614
```

Values from the calculation:
relative energy among the computed polymorphs: 0.0 meV/atom
spin magnetization: 1.79 μB per atom


Material: MgMn8O13F3
Method: DFT, PBE with a Hubbard U
State: optimized geometry

CIF file:
```
data_MgMn8O13F3
_cell_length_a 5.865
_cell_length_b 6.638
_cell_length_c 7.040
_cell_angle_alpha 93.85
_cell_angle_beta 95.09
_cell_angle_gamma 90.10
_symmetry_space_group_name_H-M 'P 1'
_symmetry_Int_Tables_number 1
_symmetry_space_group_name_Hall 'P 1'
loop_
_atom_site_label
_atom_site_type_symbol
_atom_site_fract_x
_atom_site_fract_y
_atom_site_fract_z
Mg1 Mg 0.000 0.000 0.000
Mn1 Mn 0.240 0.500 0.984
Mn2 Mn 0.266 0.024 0.481
Mn3 Mn 0.448 0.015 0.976
Mn4 Mn 0.471 0.500 0.477
Mn5 Mn 0.727 0.755 0.248
Mn6 Mn 0.744 0.253 0.718
Mn7 Mn 0.948 0.298 0.280
Mn8 Mn 0.958 0.729 0.699
O1 O 0.203 0.777 0.915
O2 O 0.229 0.222 0.039
O3 O 0.230 0.305 0.447
O4 O 0.489 0.058 0.706
O5 O 0.489 0.548 0.203
O6 O 0.492 0.956 0.240
O7 O 0.521 0.462 0.740
O8 O 0.699 0.299 0.458
O9 O 0.705 0.710 0.504
O10 O 0.962 0.027 0.706
O11 O 0.965 0.560 0.206
O12 O 0.984 0.996 0.287
O13 O 0.989 0.456 0.772
F1 F 0.244 0.725 0.517
F2 F 0.726 0.813 0.968
F3 F 0.752 0.214 0.008
```

Values from the calculation:
relative energy among the computed polymorphs: 34.5 meV/atom
spin magnetization: 1.16 μB per atom


Material: Cr3AuO8
Method: DFT, PBE with a Hubbard U
State: optimized geometry

CIF file:
```
data_Cr3AuO8
_cell_length_a 8.859
_cell_length_b 5.521
_cell_length_c 8.355
_cell_angle_alpha 90.00
_cell_angle_beta 101.22
_cell_angle_gamma 90.00
_symmetry_space_group_name_H-M 'C 1 2/m 1'
_symmetry_Int_Tables_number 12
_symmetry_space_group_name_Hall '-C 2y'
loop_
_atom_site_label
_atom_site_type_symbol
_atom_site_fract_x
_atom_site_fract_y
_atom_site_fract_z
Cr1 Cr 0.000 0.000 0.000
Cr2 Cr 0.179 0.500 0.196
Au1 Au 0.000 0.000 0.500
O1 O 0.068 0.251 0.170
O2 O 0.206 0.000 0.939
O3 O 0.220 0.000 0.613
```

Values from the calculation:
spin magnetization: 0.25 μB per atom


Calculated final energy, -6.4856; -6.3992; -6.8799; -6.5985 eV per atom (same order as the records).
Calculated DFT formation energy, -1.442; -1.651; -2.028; -1.572 eV/atom (same order as the records).